Material: CaFe2BiO6
Method: DFT, GGA+U
State: relaxed

calculated formation energy = -1.854 eV per atom
VASP energy = -6.243 eV per atom

a = 5.435 Å, b = 5.435 Å, c = 5.435 Å
α = 119.69°, β = 119.69°, γ = 90.53°
Element x y z (fractional)
Ca (0.000, 0.000, 0.000)
Fe (0.263, 0.763, 0.500)
Fe (0.763, 0.263, 0.500)
Bi (0.470, 0.470, 0.000)
O (0.020, 0.520, 0.500)
O (0.040, 0.040, 0.518)
O (0.040, 0.522, 0.000)
O (0.520, 0.020, 0.500)
O (0.522, 0.040, 0.000)
O (0.522, 0.522, 0.482)